w | Density functional theory data (PBE) for Gd3RuO7 after structural relaxation.

Cell: 6.4898 6.4898 7.4879 Å, 90.00 90.00 110.68°
Positions (direct):
O1 0.5618 0.8172 0.4611
O2 0.8918 0.1566 0.2500
O3 0.4128 0.4128 0.2500
O4 0.4382 0.1828 0.9611
O5 0.1828 0.4382 0.9611
O6 0.1082 0.8434 0.7500
O7 0.1828 0.4382 0.5389
O8 0.8172 0.5618 0.4611
Gd1 0.4782 0.9262 0.7500
Ru1 0.5000 0.5000 0.5000
Gd2 0.5218 0.0738 0.2500
Gd3 0.0000 0.0000 0.5000
O9 0.5618 0.8172 0.0389
O10 0.5872 0.5872 0.7500
Gd4 0.0000 0.0000 0.0000
O11 0.1566 0.8918 0.2500
Gd5 0.0738 0.5218 0.2500
Gd6 0.9262 0.4782 0.7500
Ru2 0.5000 0.5000 0.0000
O12 0.4382 0.1828 0.5389
O13 0.8172 0.5618 0.0389
O14 0.8434 0.1082 0.7500

=====

x | Density functional theory data (PBE) for Gd3RuO7 after structural relaxation.

Cell: 7.4405 10.6661 14.7837 Å, 90.00 90.00 90.00°
Positions (direct):
O1 0.9599 0.3963 0.9847
Gd1 0.5042 0.9907 0.3616
O2 0.9658 0.3713 0.4705
O3 0.7587 0.6301 0.1314
Ru1 0.0016 0.9982 0.6244
O4 0.5411 0.1056 0.7373
Gd2 0.4958 0.4907 0.6384
Gd3 0.7431 0.7174 0.2728
Ru2 0.4975 0.4998 0.3730
Gd4 0.0036 0.0072 0.3886
O5 0.7489 0.0074 0.0810
O6 0.2510 0.9910 0.6693
Ru3 0.5016 0.4982 0.8756
O7 0.7335 0.1338 0.3943
O8 0.4589 0.6056 0.2627
O9 0.4658 0.8713 0.0295
O10 0.2489 0.5074 0.4190
O11 0.2624 0.8660 0.8561
O12 0.2665 0.6338 0.6057
O13 0.5371 0.8681 0.2201
O14 0.7350 0.8686 0.8813
O15 0.2376 0.8660 0.3561
Gd5 0.2447 0.7695 0.2225
O16 0.4573 0.1267 0.0311
O17 0.9560 0.6561 0.9381
Gd6 0.5036 0.5072 0.1114
Gd7 0.2500 0.7294 0.9719
O18 0.7490 0.4910 0.3307
O19 0.4599 0.8963 0.5153
O20 0.2350 0.3686 0.6187
Gd8 0.7636 0.7798 0.0216
Ru4 0.5025 0.9998 0.6270
Gd9 0.2553 0.7695 0.7225
Ru5 0.9975 0.9998 0.1270
O21 0.7650 0.8686 0.3813
O22 0.5342 0.3713 0.9705
O23 0.2335 0.6338 0.1057
O24 0.2587 0.1301 0.3686
O25 0.0342 0.8713 0.5295
Gd10 0.9964 0.5072 0.6113
O26 0.0427 0.1267 0.5311
O27 0.0440 0.1561 0.0619
O28 0.5353 0.1239 0.2199
O29 0.4647 0.6239 0.7801
O30 0.0371 0.3681 0.2799
O31 0.9647 0.1239 0.7199
O32 0.5401 0.3963 0.4847
Gd11 0.2431 0.2174 0.2272
O33 0.0411 0.6056 0.7627
O34 0.7511 0.0074 0.5810
Gd12 0.7553 0.2695 0.7775
Gd13 0.2569 0.2174 0.7272
O35 0.5440 0.6561 0.4381
O36 0.2511 0.5074 0.9190
O37 0.0353 0.6239 0.2801
Ru6 0.9984 0.4982 0.3756
Gd14 0.7500 0.2294 0.0281
O38 0.2650 0.3686 0.1187
Gd15 0.0042 0.4907 0.1384
O39 0.4560 0.1561 0.5619
O40 0.2490 0.9910 0.1693
O41 0.5427 0.6267 0.9689
O42 0.2413 0.1301 0.8686
Gd16 0.2364 0.2798 0.9784
O43 0.0491 0.3486 0.8058
O44 0.4509 0.3486 0.3058
O45 0.7665 0.1338 0.8943
Gd17 0.7447 0.2695 0.2775
Gd18 0.7569 0.7174 0.7728
O46 0.9589 0.1056 0.2373
O47 0.9573 0.6267 0.4689
Gd19 0.2500 0.7294 0.4719
O48 0.4629 0.3681 0.7799
Gd20 0.7500 0.2294 0.5281
Gd21 0.4964 0.0072 0.8886
O49 0.7510 0.4910 0.8307
O50 0.7624 0.3660 0.6439
Gd22 0.7364 0.7798 0.5216
O51 0.7376 0.3660 0.1439
O52 0.7413 0.6301 0.6314
O53 0.0401 0.8963 0.0153
Gd23 0.2636 0.2798 0.4784
O54 0.9509 0.8486 0.1942
Ru7 0.4984 0.9982 0.1244
Ru8 0.0025 0.4998 0.8730
Gd24 0.9958 0.9907 0.8616
O55 0.9629 0.8681 0.7201
O56 0.5491 0.8486 0.6942

=====

The computed energies, referenced to the most stable structure and given in eV/atom, are w 0.000; x 0.013.

=====

w | Density functional theory data (PBE) for Gd2S3O12 after structural relaxation.

Cell: 6.3876 8.0747 6.9197 Å, 115.83 89.86 117.00°
Positions (direct):
O1 0.3527 0.3001 0.5468
O2 0.0100 0.2366 0.8433
S1 0.4755 0.8187 0.0662
O3 0.5991 0.0075 0.2790
O4 0.1736 0.8633 0.5447
O5 0.7263 0.3090 0.0563
O6 0.7393 0.3363 0.7316
O7 0.5078 0.6425 0.0232
O8 0.3488 0.2907 0.2011
O9 0.9117 0.7887 0.5109
S2 0.9190 0.3922 0.9329
S3 0.1631 0.2305 0.3421
Gd1 0.3406 0.1946 0.8166
O10 0.0844 0.3949 0.4232
O11 0.3311 0.8145 0.9040
O12 0.8293 0.7527 0.6936
Gd2 0.7411 0.4293 0.4453

=====

x | Density functional theory data (PBE) for Gd2S3O12 after structural relaxation.

Cell: 6.5172 7.0876 6.9822 Å, 111.08 90.56 105.91°
Positions (direct):
O1 0.3645 0.3122 0.5610
O2 0.8618 0.7707 0.4814
O3 0.0301 0.2212 0.8656
O4 0.0627 0.3957 0.4257
Gd1 0.3808 0.2045 0.8510
O5 0.6013 0.9819 0.2458
O6 0.4861 0.6130 0.0012
S1 0.9050 0.3804 0.9213
O7 0.2780 0.9330 0.5601
Gd2 0.6948 0.3381 0.4042
O8 0.7762 0.7715 0.6412
O9 0.7390 0.3126 0.7249
S2 0.4223 0.8093 0.0891
O10 0.3531 0.8829 0.9310
O11 0.7386 0.3141 0.0641
O12 0.3630 0.3184 0.2277
S3 0.1962 0.2426 0.3655

=====

The computed energies, referenced to the most stable structure and given in eV/atom, are w 0.053; x 0.000.